Entry 1:
Entry from the Materials Project: an optimized crystal structure of Mg2Ag (PBE-GGA).

## Properties
The total energy is -2.161 eV/atom. The formation enthalpy at 0 K is -150 meV per atom.

Lattice parameters (Å, degrees): 3.2794 14.8893 4.8696 90.00 90.00 90.00
Closest atoms and distances in Å follow each position.
Space group Cmcm (No. 63)
One atom of each set of equivalent atoms:
1 Mg 0.0000 0.0624 0.2500 x4  6 Ag 2.98-3.00, 6 Mg 3.06-3.28
2 Mg 0.0000 0.2617 0.7500 x4  4 Ag 2.85-3.14, 6 Mg 2.96-3.09
3 Ag 0.0000 0.3952 0.2500 x4  10 Mg 2.85-3.14


Entry 2:
Entry from the Materials Project: an optimized crystal structure of BiSe (PBE-GGA).

## Properties
The calculation puts the energy above the most stable polymorph in this dataset at 123 meV per atom. The total energy is -3.886 eV/atom. The magnetization is 0.0000 μB/atom. The formation enthalpy at 0 K is -429 meV per atom.

Lattice parameters (Å, degrees): 5.7749 7.6391 8.2971 90.00 132.18 90.00
Closest atoms and distances in Å follow each position.
Space group P2_1/c (No. 14)
One atom of each set of equivalent atoms:
1 Bi 0.1295 0.1831 0.1111 x4  3 Se 2.74-3.06
2 Se 0.2523 0.6507 0.2839 x4  3 Bi 2.74-3.06